VASP calculation (GGA-PBE) on a relaxed Na3P crystal.

```
Na3P
1.0
4.971 0.000 0.000
-2.486 4.305 0.000
0.000 0.000 8.853
Na P
6 2
direct
0.000 0.000 0.250
0.000 0.000 0.750
0.333 0.667 0.080
0.333 0.667 0.420
0.667 0.333 0.580
0.667 0.333 0.920
0.333 0.667 0.750
0.667 0.333 0.250
```

Output
For the formation energy, the calculation gives -7.65 kcal/mol of atoms.

---

VASP calculation (GGA-PBE) on a relaxed NaP7 crystal.

```
NaP7
1.0
-7.212 7.212 7.430
7.212 -7.212 7.430
7.212 7.212 -7.430
Na P
8 56
direct
0.012 0.262 0.524
0.238 0.488 0.976
0.262 0.238 0.250
0.488 0.012 0.250
0.512 0.988 0.750
0.738 0.762 0.750
0.762 0.512 0.024
0.988 0.738 0.476
0.001 0.490 0.337
0.008 0.781 0.862
0.010 0.499 0.163
0.080 0.706 0.990
0.081 0.719 0.727
0.090 0.080 0.874
0.146 0.008 0.727
0.153 0.990 0.989
0.163 0.153 0.663
0.206 0.580 0.490
0.216 0.090 0.510
0.219 0.581 0.227
0.224 0.250 0.474
0.250 0.276 0.026
0.250 0.776 0.526
0.276 0.750 0.026
0.281 0.508 0.362
0.284 0.794 0.874
0.294 0.784 0.374
0.337 0.999 0.989
0.347 0.337 0.837
0.354 0.081 0.862
0.410 0.284 0.990
0.419 0.146 0.638
0.420 0.410 0.626
0.490 0.653 0.489
0.492 0.354 0.773
0.499 0.837 0.489
0.501 0.163 0.511
0.508 0.646 0.227
0.510 0.347 0.511
0.580 0.590 0.374
0.581 0.854 0.362
0.590 0.716 0.010
0.646 0.919 0.138
0.653 0.663 0.163
0.663 0.001 0.011
0.706 0.216 0.626
0.716 0.206 0.126
0.719 0.492 0.638
0.724 0.250 0.974
0.750 0.224 0.474
0.750 0.724 0.974
0.776 0.750 0.526
0.781 0.419 0.773
0.784 0.910 0.490
0.794 0.420 0.510
0.837 0.847 0.337
0.847 0.010 0.011
0.854 0.992 0.273
0.910 0.920 0.126
0.919 0.281 0.273
0.920 0.294 0.010
0.990 0.501 0.837
0.992 0.219 0.138
0.999 0.510 0.663
```

Output
For the formation energy, the calculation gives -3.49 kcal/mol of atoms.

---

VASP calculation (GGA-PBE) on a relaxed Na3PS4 crystal.

```
Na3PS4
1.0
7.019 0.000 0.000
0.000 7.019 0.000
0.000 0.000 7.153
Na P S
6 2 8
direct
0.000 0.000 0.000
0.000 0.500 0.079
0.000 0.500 0.579
0.500 0.000 0.421
0.500 0.000 0.921
0.500 0.500 0.500
0.000 0.000 0.500
0.500 0.500 0.000
0.151 0.812 0.335
0.188 0.151 0.665
0.312 0.651 0.835
0.349 0.312 0.165
0.651 0.688 0.165
0.688 0.349 0.835
0.812 0.849 0.665
0.849 0.188 0.335
```

Output
The energy with MP2020 corrections is -0.1605 hartree per atom. For the formation energy, the calculation gives -26.01 kcal/mol of atoms. The largest piezoelectric modulus comes out at 0.4 C/m2.